# 1
Material: Nb3ZnFe3O12F2
Method: DFT, PBE with a Hubbard U
State: optimized geometry

Geometry as POSCAR:
```
Nb3ZnFe3O12F2
1.0
-0.082 -4.704 0.466
3.792 -0.356 -3.490
7.089 0.771 8.417
O F Fe Nb Zn
12 2 3 3 1
Cartesian
7.428 -2.817 5.989
5.591 -0.908 1.767
6.998 -0.681 4.146
5.511 -0.504 6.582
3.542 -1.320 -0.279
10.080 -3.200 4.972
3.886 -3.345 1.446
8.909 -0.470 6.047
4.714 -3.589 -1.292
7.743 -3.113 3.219
6.729 -3.605 0.712
2.353 -0.999 2.409
4.415 -0.694 4.199
0.646 -1.070 0.062
7.167 0.417 6.612
3.853 0.126 2.450
3.626 -0.366 -1.928
5.270 -2.415 0.394
8.619 -2.002 4.804
7.459 -0.193 2.436
2.187 -2.291 0.872
```

Output
Symmetry ... P1 (1)
DFT total energy ... -7.28 eV per atom
Density ... 4.6 g cm⁻³
Crystal system ... triclinic

=====

# 2
Material: Na3Ni2P2C2O14
Method: DFT, PBE with a Hubbard U
State: optimized geometry

Geometry as POSCAR:
```
Na3Ni2P2C2O14
1.0
-8.806 5.187 0.073
-9.100 -5.157 0.061
0.095 5.182 6.517
O P Ni C Na
28 4 4 4 6
Cartesian
-10.475 2.466 1.775
-13.934 5.908 4.981
-13.062 2.995 5.031
-7.197 7.910 4.988
-9.424 3.526 4.964
-7.810 -0.293 4.937
-5.853 4.176 2.879
-8.387 1.686 1.688
-5.056 5.912 4.985
-7.336 2.746 4.877
-10.159 0.317 1.760
-11.713 6.314 6.192
-11.705 6.424 3.759
-9.301 8.699 5.022
-2.791 6.240 6.145
-8.510 -3.487 1.629
-6.098 -1.102 0.459
-7.652 4.894 4.891
-3.877 -0.697 1.670
-6.107 -1.212 2.893
-15.020 -1.028 0.506
-10.002 5.505 1.714
-12.755 -0.701 1.666
-4.094 3.035 4.972
-4.749 2.217 1.620
-13.717 2.177 1.680
-10.614 -2.698 1.663
-11.958 1.036 3.772
-12.781 1.467 5.000
-12.611 6.682 4.979
-5.200 -1.471 1.673
-5.030 3.745 1.652
-14.714 4.087 4.967
-5.775 4.054 4.907
-12.036 1.157 1.744
-3.097 1.125 1.684
-9.613 1.498 1.744
-8.198 3.714 4.907
-0.649 1.483 1.600
-17.162 3.729 5.051
-15.665 1.313 3.285
-6.628 1.240 0.335
-15.563 6.465 6.624
-2.146 3.899 3.367
-11.183 3.972 6.316
-2.248 -1.253 0.028
```

Output
E above lowest polymorph ... 1 meV/atom
Symmetry ... P-1 (2)
Density ... 2.7 g cm⁻³
Crystal system ... triclinic

=====

# 3
Material: RbScMo2O8
Method: DFT, PBE with a Hubbard U
State: optimized geometry

Geometry as POSCAR:
```
RbScMo2O8
1.0
2.177 5.372 -1.130
-5.638 -0.615 1.649
2.109 0.718 7.479
O Mo Rb Sc
8 2 1 1
Cartesian
-3.636 0.616 3.717
-2.536 3.329 3.147
1.185 2.147 4.851
-2.944 1.411 1.037
1.593 4.065 6.961
2.284 4.860 4.281
-0.789 0.926 2.885
-0.563 4.550 5.113
1.120 3.904 5.286
-2.472 1.572 2.712
0.000 0.000 0.000
1.055 0.359 3.740
```

Output
Symmetry ... P-3m1 (164)
DFT total energy ... -7.25 eV per atom
Density ... 3.2 g cm⁻³
Crystal system ... trigonal